The following is a PBE calculation of a relaxed structure of Th3O2, from Materials Project.

a = 6.9326 Å, b = 6.9326 Å, c = 6.9326 Å
α = 55.02°, β = 55.02°, γ = 55.02°
With the nearest neighbours (Å) after each atom.
Element x y z (fractional)
Th 0.0828 0.4172 0.7500  4 O 2.54-2.64
Th 0.7500 0.0828 0.4172  4 O 2.54-2.64
Th 0.4172 0.7500 0.0828  4 O 2.54-2.64
Th 0.5828 0.2500 0.9172  4 O 2.54-2.64
Th 0.2500 0.9172 0.5828  4 O 2.54-2.64
Th 0.9172 0.5828 0.2500  4 O 2.54-2.64
O 0.3384 0.3384 0.3384  6 Th 2.54-2.64
O 0.1616 0.1616 0.1616  6 Th 2.54-2.64
O 0.8384 0.8384 0.8384  6 Th 2.54-2.64
O 0.6616 0.6616 0.6616  6 Th 2.54-2.64

## Properties
DFT total energy ... -8.454 eV/atom
E_form ... -2301 meV/atom
Corrected total energy (MP2020 scheme) ... -8.73 eV/atom
Crystal system ... trigonal